[1]
The following is a PBE+U calculation of Li11V4F24 after structural relaxation, from the Materials Project.

abc: 11.387 11.387 11.387
angles: 128.22 128.22 76.27
Sites, in units of the cell vectors:
1 Li 0.099 0.849 0.250
2 Li 0.135 0.893 0.773
3 Li 0.137 0.365 0.257
4 Li 0.183 0.698 0.493
5 Li 0.191 0.683 0.985
6 Li 0.198 0.205 0.515
7 Li 0.295 0.309 0.993
8 Li 0.349 0.599 0.750
9 Li 0.375 0.125 0.250
10 Li 0.380 0.637 0.273
11 Li 0.393 0.120 0.757
12 Li 0.607 0.880 0.243
13 Li 0.620 0.363 0.727
14 Li 0.625 0.875 0.750
15 Li 0.651 0.401 0.250
16 Li 0.705 0.691 0.007
17 Li 0.802 0.795 0.485
18 Li 0.809 0.317 0.015
19 Li 0.817 0.302 0.507
20 Li 0.863 0.635 0.743
21 Li 0.865 0.107 0.227
22 Li 0.901 0.151 0.750
23 V 0.000 0.000 0.000
24 V 0.000 0.000 0.500
25 V 0.000 0.500 0.000
26 V 0.000 0.500 0.500
27 V 0.500 0.000 0.000
28 V 0.500 0.000 0.500
29 V 0.500 0.500 0.000
30 V 0.500 0.500 0.500
31 F 0.010 0.333 0.020
32 F 0.016 0.537 0.703
33 F 0.032 0.037 0.216
34 F 0.037 0.835 0.522
35 F 0.110 0.144 0.773
36 F 0.129 0.663 0.273
37 F 0.130 0.862 0.995
38 F 0.163 0.390 0.534
39 F 0.167 0.687 0.677
40 F 0.177 0.168 0.184
41 F 0.187 0.010 0.520
42 F 0.187 0.484 0.022
43 F 0.316 0.532 0.495
44 F 0.321 0.816 0.284
45 F 0.332 0.016 0.009
46 F 0.335 0.313 0.797
47 F 0.356 0.629 0.966
48 F 0.362 0.867 0.732
49 F 0.365 0.370 0.232
50 F 0.367 0.135 0.505
51 F 0.463 0.179 0.995
52 F 0.484 0.993 0.316
53 F 0.490 0.510 0.177
54 F 0.493 0.677 0.509
55 F 0.507 0.323 0.491
56 F 0.510 0.490 0.823
57 F 0.516 0.007 0.684
58 F 0.537 0.821 0.005
59 F 0.633 0.865 0.495
60 F 0.635 0.630 0.768
61 F 0.638 0.133 0.268
62 F 0.644 0.371 0.034
63 F 0.665 0.687 0.203
64 F 0.668 0.984 0.991
65 F 0.679 0.184 0.716
66 F 0.684 0.468 0.505
67 F 0.813 0.516 0.978
68 F 0.813 0.990 0.480
69 F 0.823 0.832 0.816
70 F 0.833 0.313 0.323
71 F 0.837 0.610 0.466
72 F 0.870 0.138 0.005
73 F 0.871 0.337 0.727
74 F 0.890 0.856 0.227
75 F 0.963 0.165 0.478
76 F 0.968 0.963 0.784
77 F 0.984 0.463 0.297
78 F 0.990 0.667 0.980

Output
Volume: 885.6 Å³/cell
Energy of formation: -123.56 eV/f.u.
Total magnetic moment: 7.00 μB per formula unit
Calculated density: 2.76 Mg/m³

---

[2]
The following is a PBE+U calculation of K2VCo6Cu2As5O24 after structural relaxation, from the Materials Project.

abc: 6.935 8.939 8.943
angles: 92.41 106.07 106.04
Sites, in units of the cell vectors:
1 K 0.000 0.000 0.000
2 K 0.500 0.028 0.972
3 V 0.123 0.660 0.864
4 Co 0.000 0.271 0.729
5 Co 0.119 0.955 0.609
6 Co 0.380 0.074 0.364
7 Co 0.502 0.755 0.244
8 Co 0.620 0.637 0.927
9 Co 0.880 0.392 0.047
10 Cu 0.000 0.516 0.483
11 Cu 0.500 0.512 0.489
12 As 0.001 0.729 0.272
13 As 0.378 0.367 0.109
14 As 0.500 0.300 0.700
15 As 0.622 0.892 0.633
16 As 0.878 0.137 0.339
17 O 0.015 0.738 0.471
18 O 0.062 0.513 0.706
19 O 0.070 0.043 0.393
20 O 0.126 0.839 0.799
21 O 0.132 0.345 0.976
22 O 0.227 0.840 0.236
23 O 0.274 0.188 0.736
24 O 0.373 0.686 0.999
25 O 0.376 0.189 0.170
26 O 0.431 0.985 0.579
27 O 0.436 0.515 0.262
28 O 0.487 0.291 0.501
29 O 0.514 0.499 0.710
30 O 0.564 0.738 0.485
31 O 0.569 0.421 0.015
32 O 0.624 0.830 0.811
33 O 0.632 0.005 0.316
34 O 0.726 0.265 0.812
35 O 0.775 0.765 0.161
36 O 0.868 0.024 0.656
37 O 0.877 0.199 0.161
38 O 0.926 0.607 0.957
39 O 0.936 0.290 0.486
40 O 0.987 0.530 0.262

Output
Volume: 507.8 Å³/cell
Energy of formation: -66.97 eV/f.u.
Total magnetic moment: 16.00 μB per formula unit
Calculated density: 4.48 Mg/m³

---

[3]
The following is a PBE+U calculation of P8W3O29 after structural relaxation, from the Materials Project.

abc: 9.935 9.935 13.813
angles: 90.00 90.00 120.00
Sites, in units of the cell vectors:
1 P 0.078 0.308 0.348
2 P 0.078 0.770 0.848
3 P 0.230 0.308 0.848
4 P 0.230 0.922 0.348
5 P 0.308 0.078 0.152
6 P 0.308 0.230 0.652
7 P 0.333 0.667 0.121
8 P 0.333 0.667 0.621
9 P 0.667 0.333 0.379
10 P 0.667 0.333 0.879
11 P 0.692 0.770 0.348
12 P 0.692 0.922 0.848
13 P 0.770 0.078 0.652
14 P 0.770 0.692 0.152
15 P 0.922 0.230 0.152
16 P 0.922 0.692 0.652
17 W 0.000 0.430 0.750
18 W 0.000 0.570 0.250
19 W 0.430 0.000 0.750
20 W 0.430 0.430 0.250
21 W 0.570 0.000 0.250
22 W 0.570 0.570 0.750
23 O 0.000 0.208 0.250
24 O 0.000 0.792 0.750
25 O 0.004 0.238 0.064
26 O 0.004 0.767 0.564
27 O 0.091 0.472 0.326
28 O 0.091 0.620 0.826
29 O 0.092 0.343 0.834
30 O 0.092 0.749 0.334
31 O 0.186 0.524 0.671
32 O 0.186 0.663 0.171
33 O 0.208 0.000 0.250
34 O 0.208 0.208 0.750
35 O 0.233 0.238 0.564
36 O 0.233 0.996 0.064
37 O 0.238 0.004 0.436
38 O 0.238 0.233 0.936
39 O 0.251 0.343 0.334
40 O 0.251 0.908 0.834
41 O 0.333 0.667 0.015
42 O 0.333 0.667 0.515
43 O 0.337 0.524 0.171
44 O 0.337 0.814 0.671
45 O 0.343 0.092 0.666
46 O 0.343 0.251 0.166
47 O 0.380 0.472 0.826
48 O 0.380 0.909 0.326
49 O 0.472 0.091 0.174
50 O 0.472 0.380 0.674
51 O 0.476 0.663 0.671
52 O 0.476 0.814 0.171
53 O 0.524 0.186 0.829
54 O 0.524 0.337 0.329
55 O 0.528 0.620 0.326
56 O 0.528 0.909 0.826
57 O 0.620 0.091 0.674
58 O 0.620 0.528 0.174
59 O 0.657 0.749 0.834
60 O 0.657 0.908 0.334
61 O 0.663 0.186 0.329
62 O 0.663 0.476 0.829
63 O 0.667 0.333 0.485
64 O 0.667 0.333 0.985
65 O 0.749 0.092 0.166
66 O 0.749 0.657 0.666
67 O 0.762 0.767 0.064
68 O 0.762 0.996 0.564
69 O 0.767 0.004 0.936
70 O 0.767 0.762 0.436
71 O 0.792 0.000 0.750
72 O 0.792 0.792 0.250
73 O 0.814 0.337 0.829
74 O 0.814 0.476 0.329
75 O 0.908 0.251 0.666
76 O 0.908 0.657 0.166
77 O 0.909 0.380 0.174
78 O 0.909 0.528 0.674
79 O 0.996 0.233 0.436
80 O 0.996 0.762 0.936

Output
Volume: 1180.6 Å³/cell
Energy of formation: -94.16 eV/f.u.
Total magnetic moment: 0.00 μB per formula unit
Calculated density: 3.55 Mg/m³

---

[4]
The following is a PBE+U calculation of LiCo5P8O28 after structural relaxation, from the Materials Project.

abc: 9.185 10.496 12.411
angles: 80.17 72.91 64.65
Sites, in units of the cell vectors:
1 Li 0.000 0.000 0.000
2 Li 0.000 0.000 0.500
3 Co 0.188 0.485 0.242
4 Co 0.257 0.745 0.564
5 Co 0.262 0.742 0.065
6 Co 0.378 0.213 0.888
7 Co 0.391 0.220 0.394
8 Co 0.609 0.780 0.606
9 Co 0.622 0.787 0.112
10 Co 0.738 0.258 0.935
11 Co 0.743 0.255 0.436
12 Co 0.812 0.515 0.758
13 P 0.090 0.213 0.788
14 P 0.121 0.207 0.300
15 P 0.269 0.035 0.598
16 P 0.275 0.036 0.099
17 P 0.349 0.452 0.964
18 P 0.351 0.461 0.457
19 P 0.355 0.700 0.305
20 P 0.356 0.703 0.807
21 P 0.644 0.297 0.193
22 P 0.645 0.300 0.695
23 P 0.649 0.539 0.543
24 P 0.651 0.548 0.036
25 P 0.725 0.964 0.901
26 P 0.731 0.965 0.402
27 P 0.879 0.793 0.700
28 P 0.910 0.787 0.212
29 O 0.018 0.807 0.598
30 O 0.020 0.355 0.727
31 O 0.025 0.812 0.099
32 O 0.090 0.352 0.242
33 O 0.119 0.092 0.708
34 O 0.141 0.095 0.216
35 O 0.215 0.940 0.062
36 O 0.216 0.946 0.544
37 O 0.229 0.408 0.934
38 O 0.231 0.422 0.413
39 O 0.235 0.782 0.409
40 O 0.247 0.173 0.024
41 O 0.247 0.793 0.909
42 O 0.253 0.729 0.723
43 O 0.259 0.693 0.224
44 O 0.261 0.175 0.802
45 O 0.277 0.172 0.534
46 O 0.277 0.544 0.069
47 O 0.281 0.549 0.559
48 O 0.289 0.138 0.332
49 O 0.414 0.542 0.860
50 O 0.430 0.952 0.636
51 O 0.437 0.538 0.354
52 O 0.451 0.968 0.115
53 O 0.469 0.294 0.245
54 O 0.491 0.309 0.469
55 O 0.498 0.262 0.748
56 O 0.499 0.686 0.024
57 O 0.501 0.314 0.976
58 O 0.502 0.738 0.252
59 O 0.509 0.691 0.531
60 O 0.531 0.706 0.755
61 O 0.549 0.032 0.885
62 O 0.563 0.462 0.646
63 O 0.570 0.048 0.364
64 O 0.586 0.458 0.140
65 O 0.711 0.862 0.668
66 O 0.719 0.451 0.441
67 O 0.723 0.456 0.931
68 O 0.723 0.828 0.466
69 O 0.739 0.825 0.198
70 O 0.741 0.307 0.776
71 O 0.747 0.271 0.277
72 O 0.753 0.207 0.091
73 O 0.753 0.827 0.976
74 O 0.765 0.218 0.591
75 O 0.769 0.578 0.587
76 O 0.771 0.592 0.066
77 O 0.784 0.054 0.456
78 O 0.785 0.060 0.938
79 O 0.859 0.905 0.784
80 O 0.881 0.908 0.292
81 O 0.910 0.648 0.758
82 O 0.975 0.188 0.901
83 O 0.980 0.645 0.273
84 O 0.982 0.193 0.402

Output
Volume: 1032.1 Å³/cell
Energy of formation: -90.58 eV/f.u.
Total magnetic moment: 6.00 μB per formula unit
Calculated density: 3.21 Mg/m³

---

[5]
The following is a PBE+U calculation of LiVF4 after structural relaxation, from the Materials Project.

abc: 4.614 11.877 5.185
angles: 90.00 90.00 90.00
Sites, in units of the cell vectors:
1 Li 0.000 0.179 0.250
2 Li 0.000 0.821 0.750
3 Li 0.500 0.321 0.750
4 Li 0.500 0.679 0.250
5 V 0.000 0.429 0.250
6 V 0.000 0.571 0.750
7 V 0.500 0.071 0.750
8 V 0.500 0.929 0.250
9 F 0.229 0.446 0.587
10 F 0.229 0.554 0.087
11 F 0.231 0.317 0.090
12 F 0.231 0.683 0.590
13 F 0.269 0.183 0.590
14 F 0.269 0.817 0.090
15 F 0.271 0.054 0.087
16 F 0.271 0.946 0.587
17 F 0.729 0.054 0.413
18 F 0.729 0.946 0.913
19 F 0.731 0.183 0.910
20 F 0.731 0.817 0.410
21 F 0.769 0.317 0.410
22 F 0.769 0.683 0.910
23 F 0.771 0.446 0.913
24 F 0.771 0.554 0.413

Output
Volume: 284.2 Å³/cell
E above lowest polymorph: 46.9 meV/atom
Energy of formation: -19.03 eV/f.u.
Total magnetic moment: 2.00 μB per formula unit
Calculated density: 3.13 Mg/m³

---

[6]
The following is a PBE+U calculation of CrFe3O6 after structural relaxation, from the Materials Project.

abc: 9.779 10.388 10.545
angles: 97.70 93.54 93.64
Sites, in units of the cell vectors:
1 Cr 0.000 0.000 0.000
2 Cr 0.021 0.718 0.117
3 Cr 0.118 0.140 0.794
4 Cr 0.348 0.634 0.081
5 Cr 0.540 0.211 0.757
6 Cr 0.564 0.150 0.078
7 Cr 0.888 0.785 0.354
8 Cr 0.959 0.819 0.634
9 Fe 0.091 0.589 0.503
10 Fe 0.092 0.018 0.346
11 Fe 0.132 0.414 0.706
12 Fe 0.196 0.223 0.092
13 Fe 0.254 0.314 0.416
14 Fe 0.260 0.734 0.301
15 Fe 0.267 0.720 0.784
16 Fe 0.282 0.954 0.057
17 Fe 0.409 0.582 0.555
18 Fe 0.427 0.054 0.481
19 Fe 0.458 0.434 0.272
20 Fe 0.460 0.936 0.769
21 Fe 0.471 0.528 0.842
22 Fe 0.572 0.720 0.378
23 Fe 0.666 0.744 0.692
24 Fe 0.676 0.489 0.105
25 Fe 0.703 0.984 0.431
26 Fe 0.753 0.076 0.864
27 Fe 0.757 0.256 0.553
28 Fe 0.757 0.504 0.451
29 Fe 0.766 0.902 0.134
30 Fe 0.780 0.502 0.802
31 Fe 0.839 0.280 0.205
32 Fe 0.980 0.348 0.954
33 O 0.012 0.301 0.123
34 O 0.040 0.955 0.534
35 O 0.060 0.821 0.006
36 O 0.075 0.808 0.288
37 O 0.089 0.240 0.661
38 O 0.097 0.969 0.668
39 O 0.107 0.696 0.668
40 O 0.118 0.055 0.162
41 O 0.120 0.414 0.508
42 O 0.156 0.609 0.143
43 O 0.174 0.048 0.937
44 O 0.174 0.300 0.925
45 O 0.260 0.656 0.454
46 O 0.264 0.130 0.421
47 O 0.276 0.343 0.241
48 O 0.294 0.603 0.904
49 O 0.330 0.493 0.688
50 O 0.331 0.818 0.157
51 O 0.349 0.872 0.895
52 O 0.378 0.128 0.101
53 O 0.411 0.072 0.665
54 O 0.412 0.617 0.261
55 O 0.425 0.752 0.681
56 O 0.432 0.411 0.448
57 O 0.490 0.891 0.415
58 O 0.513 0.550 0.033
59 O 0.534 0.102 0.897
60 O 0.571 0.323 0.156
61 O 0.582 0.387 0.804
62 O 0.602 0.146 0.472
63 O 0.605 0.623 0.532
64 O 0.612 0.027 0.156
65 O 0.637 0.630 0.821
66 O 0.653 0.927 0.745
67 O 0.658 0.543 0.290
68 O 0.730 0.193 0.722
69 O 0.740 0.199 0.034
70 O 0.770 0.436 0.616
71 O 0.777 0.830 0.499
72 O 0.801 0.323 0.387
73 O 0.812 0.941 0.968
74 O 0.814 0.465 0.989
75 O 0.841 0.722 0.167
76 O 0.851 0.710 0.719
77 O 0.854 0.964 0.313
78 O 0.919 0.617 0.423
79 O 0.948 0.140 0.883
80 O 0.983 0.459 0.815

Output
Volume: 1056.8 Å³/cell
E above lowest polymorph: 380.4 meV/atom
Energy of formation: -11.58 eV/f.u.
Total magnetic moment: 17.00 μB per formula unit
Calculated density: 3.97 Mg/m³